Here is a relaxed structure of Lu5Re2O12 from Materials Project. Energies are from PBE-GGA.

Cell: 6.7110 6.7110 7.3949 Å, 106.17 106.17 49.35°
With the nearest neighbours (Å) after each atom.
Positions (direct):
Lu 0.0000 0.0000 0.0000  6 O 2.14-2.28
Lu 0.3019 0.3019 0.1383  7 O 2.23-2.38
Lu 0.3138 0.3138 0.6768  7 O 2.22-2.45
Lu 0.6862 0.6862 0.3232  7 O 2.22-2.45
Lu 0.6981 0.6981 0.8617  7 O 2.23-2.38
Re 0.2151 0.7849 0.5000  6 O 1.97-2.09
Re 0.7849 0.2151 0.5000  6 O 1.97-2.09
O 0.0006 0.0006 0.2892  2 Re 1.97, 1 Lu 2.14
O 0.0874 0.5759 0.4117  1 Re 1.97
O 0.0986 0.5943 0.9264  4 Lu 2.23-2.28
O 0.4057 0.9014 0.0736  4 Lu 2.23-2.28
O 0.4241 0.9126 0.5883  1 Re 1.97
O 0.4995 0.4995 0.3166  2 Re 2.09, 1 Lu 2.26
O 0.5005 0.5005 0.6834  2 Re 2.09, 1 Lu 2.26
O 0.5759 0.0874 0.4117  1 Re 1.97
O 0.5943 0.0986 0.9264  4 Lu 2.23-2.28
O 0.9014 0.4057 0.0736  4 Lu 2.23-2.28
O 0.9126 0.4241 0.5883  1 Re 1.97
O 0.9994 0.9994 0.7108  2 Re 1.97, 1 Lu 2.14

The space-group type is C2/m, No. 12. The calculation puts the uncorrected energy at -8.594 eV per atom.

Here is a relaxed structure of LuRhO3 from Materials Project. Energies are from PBE-GGA.

Cell: 5.7212 7.5942 5.2311 Å, 90.00 90.00 90.00°
With the nearest neighbours (Å) after each atom.
Positions (direct):
Lu 0.0842 0.2500 0.0299  4 O 2.18-2.23
Lu 0.4158 0.7500 0.5299  4 O 2.18-2.23
Lu 0.5842 0.2500 0.4701  4 O 2.18-2.23
Lu 0.9158 0.7500 0.9701  4 O 2.18-2.23
Rh 0.0000 0.0000 0.5000  6 O 2.07-2.08
Rh 0.0000 0.5000 0.5000  6 O 2.07-2.08
Rh 0.5000 0.0000 0.0000  6 O 2.07-2.08
Rh 0.5000 0.5000 0.0000  6 O 2.07-2.08
O 0.0601 0.7500 0.3561  2 Rh 2.07, 2 Lu 2.18-2.23
O 0.1868 0.5676 0.8258  2 Rh 2.07-2.08, 1 Lu 2.21
O 0.1868 0.9324 0.8258  2 Rh 2.07-2.08, 1 Lu 2.21
O 0.3132 0.0676 0.3258  2 Rh 2.07-2.08, 1 Lu 2.21
O 0.3132 0.4324 0.3258  2 Rh 2.07-2.08, 1 Lu 2.21
O 0.4399 0.2500 0.8561  2 Rh 2.07, 2 Lu 2.18-2.23
O 0.5601 0.7500 0.1439  2 Rh 2.07, 2 Lu 2.18-2.23
O 0.6868 0.5676 0.6742  2 Rh 2.07-2.08, 1 Lu 2.21
O 0.6868 0.9324 0.6742  2 Rh 2.07-2.08, 1 Lu 2.21
O 0.8132 0.0676 0.1742  2 Rh 2.07-2.08, 1 Lu 2.21
O 0.8132 0.4324 0.1742  2 Rh 2.07-2.08, 1 Lu 2.21
O 0.9399 0.2500 0.6439  2 Rh 2.07, 2 Lu 2.18-2.23

The space-group type is Pnma, No. 62. The calculation puts the uncorrected energy at -7.546 eV per atom.

Here is a relaxed structure of LuRhO3 from Materials Project. Energies are from PBE-GGA.

Cell: 3.9240 3.9240 3.9240 Å, 90.00 90.00 90.00°
With the nearest neighbours (Å) after each atom.
Positions (direct):
Lu 0.0000 0.0000 0.0000  12 O 2.77
Rh 0.5000 0.5000 0.5000  6 O 1.96
O 0.0000 0.5000 0.5000  2 Rh 1.96
O 0.5000 0.0000 0.5000  2 Rh 1.96
O 0.5000 0.5000 0.0000  2 Rh 1.96

For the total magnetic moment, the calculation gives 0.00 μB per cell. The space-group type is Pm-3m, No. 221. The calculation puts the uncorrected energy at -6.822 eV per atom.

Here is a relaxed structure of Lu2Ru2O7 from Materials Project. Energies are from PBE-GGA.

Cell: 7.1347 7.1347 7.1347 Å, 60.00 60.00 60.00°
With the nearest neighbours (Å) after each atom.
Positions (direct):
Lu 0.0000 0.0000 0.0000  8 O 2.18-2.41
Lu 0.0000 0.0000 0.5000  8 O 2.18-2.41
Lu 0.0000 0.5000 0.0000  8 O 2.18-2.41
Lu 0.5000 0.0000 0.0000  8 O 2.18-2.41
Ru 0.0000 0.5000 0.5000  6 O 2.00
Ru 0.5000 0.0000 0.5000  6 O 2.00
Ru 0.5000 0.5000 0.0000  6 O 2.00
Ru 0.5000 0.5000 0.5000  6 O 2.00
O 0.1250 0.1250 0.1250  4 Lu 2.18
O 0.1613 0.1613 0.5887  2 Ru 2.00
O 0.1613 0.5887 0.1613  2 Ru 2.00
O 0.1613 0.5887 0.5887  2 Ru 2.00
O 0.4113 0.4113 0.8387  2 Ru 2.00
O 0.4113 0.8387 0.4113  2 Ru 2.00
O 0.4113 0.8387 0.8387  2 Ru 2.00
O 0.5887 0.1613 0.1613  2 Ru 2.00
O 0.5887 0.1613 0.5887  2 Ru 2.00
O 0.5887 0.5887 0.1613  2 Ru 2.00
O 0.8387 0.4113 0.4113  2 Ru 2.00
O 0.8387 0.4113 0.8387  2 Ru 2.00
O 0.8387 0.8387 0.4113  2 Ru 2.00
O 0.8750 0.8750 0.8750  4 Lu 2.18

For the total magnetic moment, the calculation gives 8.00 μB per cell. The space-group type is Fd-3m, No. 227. The calculation puts the uncorrected energy at -7.838 eV per atom.

Here is a relaxed structure of Sr2LuRuO6 from Materials Project. Energies are from PBE-GGA.

Cell: 5.7783 5.7917 9.9844 Å, 90.00 125.12 90.00°
With the nearest neighbours (Å) after each atom.
Positions (direct):
Sr 0.2431 0.0273 0.2490  6 O 2.56-2.80
Sr 0.2431 0.4727 0.7490  6 O 2.56-2.80
Sr 0.7569 0.5273 0.2510  6 O 2.56-2.80
Sr 0.7569 0.9727 0.7510  6 O 2.56-2.80
Lu 0.5000 0.0000 0.0000  6 O 2.18
Lu 0.5000 0.5000 0.5000  6 O 2.18
Ru 0.0000 0.0000 0.5000  6 O 1.98
Ru 0.0000 0.5000 0.0000  6 O 1.98
O 0.1709 0.2300 0.9650  1 Ru 1.98, 1 Lu 2.18
O 0.1709 0.2700 0.4650  1 Ru 1.98, 1 Lu 2.18
O 0.2335 0.7081 0.9655  1 Ru 1.98, 1 Lu 2.18
O 0.2335 0.7919 0.4655  1 Ru 1.98, 1 Lu 2.18
O 0.3037 0.0131 0.7377  1 Ru 1.98, 1 Lu 2.18
O 0.3037 0.4869 0.2377  1 Ru 1.98, 1 Lu 2.18
O 0.6963 0.5131 0.7623  1 Ru 1.98, 1 Lu 2.18
O 0.6963 0.9869 0.2623  1 Ru 1.98, 1 Lu 2.18
O 0.7665 0.2081 0.5345  1 Ru 1.98, 1 Lu 2.18
O 0.7665 0.2919 0.0345  1 Ru 1.98, 1 Lu 2.18
O 0.8291 0.7300 0.5350  1 Ru 1.98, 1 Lu 2.18
O 0.8291 0.7700 0.0350  1 Ru 1.98, 1 Lu 2.18

For the total magnetic moment, the calculation gives 6.00 μB per cell. The space-group type is P2_1/c, No. 14. The calculation puts the uncorrected energy at -7.178 eV per atom.

Here is a relaxed structure of Lu2S3O15 from Materials Project. Energies are from PBE-GGA.

Cell: 11.5751 11.5751 9.3939 Å, 90.00 90.00 106.92°
With the nearest neighbours (Å) after each atom.
Positions (direct):
Lu 0.1011 0.8989 0.5000  8 O 2.26-2.44
Lu 0.1524 0.4771 0.4572  6 O 2.09-2.30
Lu 0.3690 0.6310 0.0089  6 O 2.19-2.24
Lu 0.4771 0.1524 0.9572  6 O 2.09-2.30
Lu 0.5229 0.8476 0.4572  6 O 2.09-2.30
Lu 0.6310 0.3690 0.5089  6 O 2.19-2.24
Lu 0.8476 0.5229 0.9572  6 O 2.09-2.30
Lu 0.8989 0.1011 0.0000  8 O 2.26-2.44
S 0.0012 0.9988 0.7457  4 O 1.49
S 0.0882 0.4079 0.0845  4 O 1.48-1.49
S 0.2437 0.7563 0.2754  4 O 1.47-1.48
S 0.2864 0.7136 0.6834  4 O 1.46-1.49
S 0.4079 0.0882 0.5845  4 O 1.48-1.49
S 0.4603 0.5397 0.3469  4 O 1.48-1.49
S 0.5397 0.4603 0.8469  4 O 1.48-1.49
S 0.5921 0.9118 0.0845  4 O 1.48-1.49
S 0.7136 0.2864 0.1834  4 O 1.46-1.49
S 0.7563 0.2437 0.7754  4 O 1.47-1.48
S 0.9118 0.5921 0.5845  4 O 1.48-1.49
S 0.9988 0.0012 0.2457  4 O 1.49
O 0.0101 0.4834 0.0379  1 S 1.49
O 0.0142 0.9858 0.0896  1 S 1.49
O 0.0221 0.2461 0.4729  1 O 1.23
O 0.0409 0.2842 0.0278  1 S 1.48
O 0.0546 0.1161 0.8194  1 S 1.49
O 0.0814 0.9186 0.7503  1 S 1.49
O 0.0905 0.4027 0.2426  1 S 1.49
O 0.1118 0.3726 0.6688  1 Lu 2.30, 3 O 2.39-2.56
O 0.1161 0.0546 0.3194  1 S 1.49
O 0.1245 0.2372 0.4573  1 O 1.23
O 0.1656 0.8344 0.2963  1 S 1.47
O 0.1871 0.6383 0.3432  1 S 1.48
O 0.2124 0.4658 0.0305  1 S 1.49
O 0.2137 0.7863 0.6233  1 S 1.46
O 0.2372 0.1245 0.9573  1 O 1.23
O 0.2399 0.5857 0.6358  1 S 1.49
O 0.2461 0.0221 0.9729  1 O 1.23
O 0.2635 0.7365 0.1234  1 S 1.47
O 0.2842 0.0409 0.5278  1 S 1.48
O 0.2861 0.7139 0.8409  1 S 1.48
O 0.3421 0.4797 0.4146  1 S 1.49
O 0.3617 0.8129 0.3432  1 S 1.48
O 0.3726 0.1118 0.1688  1 Lu 2.30, 3 O 2.39-2.56
O 0.4027 0.0905 0.7426  1 S 1.49
O 0.4143 0.7601 0.6358  1 S 1.49
O 0.4407 0.5593 0.1936  1 S 1.48
O 0.4603 0.5397 0.8618  1 S 1.48
O 0.4658 0.2124 0.5305  1 S 1.49
O 0.4797 0.3421 0.9146  1 S 1.49
O 0.4834 0.0101 0.5379  1 S 1.49
O 0.5166 0.9899 0.0379  1 S 1.49
O 0.5203 0.6579 0.4146  1 S 1.49
O 0.5342 0.7876 0.0305  1 S 1.49
O 0.5397 0.4603 0.3618  1 S 1.48
O 0.5593 0.4407 0.6936  1 S 1.48
O 0.5857 0.2399 0.1358  1 S 1.49
O 0.5973 0.9095 0.2426  1 S 1.49
O 0.6274 0.8882 0.6688  1 Lu 2.30, 3 O 2.39-2.56
O 0.6383 0.1871 0.8432  1 S 1.48
O 0.6579 0.5203 0.9146  1 S 1.49
O 0.7139 0.2861 0.3409  1 S 1.48
O 0.7158 0.9591 0.0278  1 S 1.48
O 0.7365 0.2635 0.6234  1 S 1.47
O 0.7539 0.9779 0.4729  1 O 1.23
O 0.7601 0.4143 0.1358  1 S 1.49
O 0.7628 0.8755 0.4573  1 O 1.23
O 0.7863 0.2137 0.1233  1 S 1.46
O 0.7876 0.5342 0.5305  1 S 1.49
O 0.8129 0.3617 0.8432  1 S 1.48
O 0.8344 0.1656 0.7963  1 S 1.47
O 0.8755 0.7628 0.9573  1 O 1.23
O 0.8839 0.9454 0.8194  1 S 1.49
O 0.8882 0.6274 0.1688  1 Lu 2.30, 3 O 2.39-2.56
O 0.9095 0.5973 0.7426  1 S 1.49
O 0.9186 0.0814 0.2503  1 S 1.49
O 0.9454 0.8839 0.3194  1 S 1.49
O 0.9591 0.7158 0.5278  1 S 1.48
O 0.9779 0.7539 0.9729  1 O 1.23
O 0.9858 0.0142 0.5896  1 S 1.49
O 0.9899 0.5166 0.5379  1 S 1.49

For the total magnetic moment, the calculation gives 0.13 μB per cell. The space-group type is Cmc2_1, No. 36. The calculation puts the uncorrected energy at -6.372 eV per atom.

Here is a relaxed structure of Lu2S3O20 from Materials Project. Energies are from PBE-GGA.

Cell: 7.3921 7.3921 18.2483 Å, 98.99 98.99 52.15°
With the nearest neighbours (Å) after each atom.
Positions (direct):
Lu 0.1468 0.1878 0.3961  7 O 2.17-2.37
Lu 0.1878 0.1468 0.8961  7 O 2.17-2.37
Lu 0.8122 0.8532 0.1039  7 O 2.17-2.37
Lu 0.8532 0.8122 0.6039  7 O 2.17-2.37
S 0.1860 0.2417 0.0887  4 O 1.48-1.49
S 0.2417 0.1860 0.5887  4 O 1.48-1.49
S 0.2996 0.7004 0.7500  4 O 1.49
S 0.7004 0.2996 0.2500  4 O 1.49
S 0.7583 0.8140 0.4113  4 O 1.48-1.49
S 0.8140 0.7583 0.9113  4 O 1.48-1.49
O 0.0837 0.7526 0.7088  1 S 1.49
O 0.0846 0.2308 0.0130  1 S 1.48
O 0.0889 0.4399 0.5870  1 S 1.49
O 0.1124 0.4794 0.1121  1 S 1.49
O 0.1130 0.1825 0.1464  1 S 1.48
O 0.1153 0.8852 0.1344  2 O 2.16-2.27, 1 Lu 2.37
O 0.1148 0.8847 0.3656  2 O 2.16-2.27, 1 Lu 2.37
O 0.1450 0.7864 0.5672  1 Lu 2.25, 1 O 2.27
O 0.1825 0.1130 0.6464  1 S 1.48
O 0.2136 0.8550 0.9328  1 Lu 2.25, 1 O 2.27
O 0.2308 0.0846 0.5130  1 S 1.48
O 0.2474 0.9163 0.7912  1 S 1.49
O 0.2594 0.3332 0.8168  2 O 2.12-2.20
O 0.3176 0.3639 0.4323  1 O 2.12, 1 Lu 2.28
O 0.3332 0.2594 0.3168  2 O 2.12-2.20
O 0.3639 0.3176 0.9323  1 O 2.12, 1 Lu 2.28
O 0.3952 0.5182 0.8020  1 S 1.49
O 0.4399 0.0889 0.0870  1 S 1.49
O 0.4794 0.1124 0.6121  1 S 1.49
O 0.4818 0.6048 0.6980  1 S 1.49
O 0.5182 0.3952 0.3020  1 S 1.49
O 0.5206 0.8876 0.3879  1 S 1.49
O 0.5601 0.9111 0.9130  1 S 1.49
O 0.6048 0.4818 0.1980  1 S 1.49
O 0.6361 0.6824 0.0677  1 O 2.12, 1 Lu 2.28
O 0.6668 0.7406 0.6832  2 O 2.12-2.20
O 0.6824 0.6361 0.5677  1 O 2.12, 1 Lu 2.28
O 0.7406 0.6668 0.1832  2 O 2.12-2.20
O 0.7526 0.0837 0.2088  1 S 1.49
O 0.7692 0.9154 0.4870  1 S 1.48
O 0.7864 0.1450 0.0672  1 Lu 2.25, 1 O 2.27
O 0.8175 0.8870 0.3536  1 S 1.48
O 0.8550 0.2136 0.4328  1 Lu 2.25, 1 O 2.27
O 0.8852 0.1153 0.6344  2 O 2.16-2.27, 1 Lu 2.37
O 0.8847 0.1148 0.8656  2 O 2.16-2.27, 1 Lu 2.37
O 0.8870 0.8175 0.8536  1 S 1.48
O 0.8876 0.5206 0.8879  1 S 1.49
O 0.9111 0.5601 0.4130  1 S 1.49
O 0.9154 0.7692 0.9870  1 S 1.48
O 0.9163 0.2474 0.2912  1 S 1.49

For the total magnetic moment, the calculation gives 31.98 μB per cell. The space-group type is C2/c, No. 15. The calculation puts the uncorrected energy at -5.419 eV per atom.

Here is a relaxed structure of LuU4S5O4 from Materials Project. Energies are from PBE-GGA.

Cell: 17.4776 17.4776 17.4776 Å, 167.55 167.55 17.64°
With the nearest neighbours (Å) after each atom.
Positions (direct):
Lu 0.0000 0.0000 0.0000  6 S 2.66-2.68
U 0.1924 0.1924 0.0000  4 O 2.37
U 0.3858 0.3858 0.0000  4 O 2.28
U 0.6142 0.6142 0.0000  4 O 2.28
U 0.8076 0.8076 0.0000  4 O 2.37
S 0.0771 0.0771 0.0000  1 Lu 2.66, 4 U 2.97
S 0.2770 0.2770 0.0000  5 U 2.88-2.92, 4 O 3.13
S 0.5000 0.5000 0.0000  4 Lu 2.68
S 0.7230 0.7230 0.0000  5 U 2.88-2.92, 4 O 3.13
S 0.9229 0.9229 0.0000  1 Lu 2.66, 4 U 2.97
O 0.1510 0.6510 0.5000  4 U 2.28-2.37
O 0.3490 0.8490 0.5000  4 U 2.28-2.37
O 0.6510 0.1510 0.5000  4 U 2.28-2.37
O 0.8490 0.3490 0.5000  4 U 2.28-2.37

For the total magnetic moment, the calculation gives 8.77 μB per cell. The space-group type is I4/mmm, No. 139. The calculation puts the uncorrected energy at -8.803 eV per atom.

Short version: energy with MP2020 corrections = -171.53, -159.16, -36.17, -182.06, -151.80, -519.43, -298.44, -128.51 eV/cell, in the order given.
Short version: formation energy from the elements = -3.403, -2.612, -1.889, -2.619, -2.904, -1.709, -1.152, -2.739 eV/atom, in the order given.